The following is a DFT calculation (PBE-GGA) of LaMg6Mo after structural relaxation.

Calculated values
**Energy relative to the lowest polymorph listed for this composition**: 7 meV per atom
**Energy of formation**: 0.24 eV/atom

abc: 5.1656 6.0161 11.8257
angles: 90.00 90.00 90.00
Last column: nearest neighbours and their distance in Å.
Fractional positions:
1 Mg 0.0000 0.5000 0.3091  8 Mg 3.02-3.27, 2 Mo 3.09
2 Mg 0.5000 0.7499 0.9222  8 Mg 3.01-3.27, 1 Mo 3.24, 2 La 3.29-3.34
3 Mg 0.0000 0.0000 0.3410  8 Mg 3.03-3.19, 2 La 3.25
4 Mg 0.5000 0.2501 0.9222  8 Mg 3.01-3.27, 1 Mo 3.24, 2 La 3.29-3.34
5 Mg 0.5000 0.2499 0.4222  8 Mg 3.01-3.27, 1 Mo 3.24, 2 La 3.29-3.34
6 Mg 0.0000 0.5000 0.8410  8 Mg 3.03-3.19, 2 La 3.25
7 Mg 0.0000 0.7665 0.5830  2 Mg 2.81-3.02, 2 Mo 3.10
8 Mg 0.0000 0.0000 0.8091  8 Mg 3.02-3.27, 2 Mo 3.09
9 Mg 0.0000 0.2335 0.5830  2 Mg 2.81-3.02, 2 Mo 3.10
10 Mg 0.5000 0.7501 0.4222  8 Mg 3.01-3.27, 1 Mo 3.24, 2 La 3.29-3.34
11 Mg 0.0000 0.7335 0.0830  2 Mg 2.81-3.02, 2 Mo 3.10
12 Mg 0.0000 0.2665 0.0830  2 Mg 2.81-3.02, 2 Mo 3.10
13 Mo 0.5000 0.5000 0.1651  2 La 3.01, 8 Mg 3.09-3.24
14 Mo 0.5000 0.0000 0.6651  2 La 3.01, 8 Mg 3.09-3.24
15 La 0.5000 0.5000 0.6743  2 Mo 3.01, 10 Mg 3.23-3.34
16 La 0.5000 0.0000 0.1743  2 Mo 3.01, 10 Mg 3.23-3.34